Record 1
DFT (PBE) results for a relaxed CeSnPd crystal.

Results
* calculated total energy: -70.55 eV for the cell shown
* ΔE_f: -2.51 eV/f.u.

CIF file:
```
data_CeSnPd
_space_group_name_H-M_alt 'P 1'
_space_group_IT_number 1
_space_group_name_Hall 'P 1'
_cell_length_a 4.7279
_cell_length_b 7.4609
_cell_length_c 7.9992
_cell_angle_alpha 90.00
_cell_angle_beta 90.00
_cell_angle_gamma 90.00
loop_
_atom_site_label
_atom_site_type_symbol
_atom_site_fract_x
_atom_site_fract_y
_atom_site_fract_z
_atom_site_occupancy
Ce1 Ce 0.2500 0.0127 0.2948 1
Ce2 Ce 0.7500 0.4873 0.7948 1
Pd1 Pd 0.2500 0.7932 0.9173 1
Pd2 Pd 0.2500 0.2932 0.5827 1
Sn1 Sn 0.2500 0.6892 0.5882 1
Pd3 Pd 0.7500 0.7068 0.4173 1
Ce3 Ce 0.7500 0.9873 0.7052 1
Pd4 Pd 0.7500 0.2068 0.0827 1
Sn2 Sn 0.7500 0.3108 0.4118 1
Ce4 Ce 0.2500 0.5127 0.2052 1
Sn3 Sn 0.7500 0.8108 0.0882 1
Sn4 Sn 0.2500 0.1892 0.9118 1
```

Record 2
DFT (PBE) results for a relaxed CeSnPd crystal.

Results
* calculated total energy: -52.85 eV for the cell shown
* ΔE_f: -2.50 eV/f.u.

CIF file:
```
data_CeSnPd
_space_group_name_H-M_alt 'P 1'
_space_group_IT_number 1
_space_group_name_Hall 'P 1'
_cell_length_a 4.1915
_cell_length_b 7.6109
_cell_length_c 7.6109
_cell_angle_alpha 120.00
_cell_angle_beta 90.00
_cell_angle_gamma 90.00
loop_
_atom_site_label
_atom_site_type_symbol
_atom_site_fract_x
_atom_site_fract_y
_atom_site_fract_z
_atom_site_occupancy
Ce1 Ce 0.0000 0.4135 0.0000 1
Sn1 Sn 0.5000 0.2515 0.2515 1
Sn2 Sn 0.5000 0.7485 0.0000 1
Pd1 Pd 0.5000 0.6667 0.3333 1
Ce2 Ce 0.0000 0.0000 0.4135 1
Ce3 Ce 0.0000 0.5865 0.5865 1
Sn3 Sn 0.5000 0.0000 0.7485 1
Pd2 Pd 0.5000 0.3333 0.6667 1
Pd3 Pd 0.0000 0.0000 0.0000 1
```